VASP calculation (r2SCAN) on Sm2Tc2O7 after structural relaxation.

ρ: 7.3 g cm⁻³
Magnetization: 12.00 μB per cell
Space-group type: Fd-3m (227)
V: 278 Å³/cell
Total DFT energy (no corrections): -16.649 eV per atom

a = 7.3299 Å, b = 7.3299 Å, c = 7.3299 Å
α = 60.00°, β = 60.00°, γ = 60.00°
Closest atoms and distances in Å follow each position.
Fractional positions:
1 Sm 0.0000 0.0000 0.0000  2 O 2.24
2 Sm 0.0000 0.0000 0.5000  2 O 2.24
3 Sm 0.0000 0.5000 0.0000  2 O 2.24
4 Sm 0.5000 0.0000 0.0000  2 O 2.24
5 Tc 0.0000 0.5000 0.5000  6 O 2.03
6 Tc 0.5000 0.0000 0.5000  6 O 2.03
7 Tc 0.5000 0.5000 0.0000  6 O 2.03
8 Tc 0.5000 0.5000 0.5000  6 O 2.03
9 O 0.1250 0.1250 0.1250  4 Sm 2.24
10 O 0.1666 0.1666 0.5834  2 Tc 2.03
11 O 0.1666 0.5834 0.1666  2 Tc 2.03
12 O 0.1666 0.5834 0.5834  2 Tc 2.03
13 O 0.4166 0.4166 0.8334  2 Tc 2.03
14 O 0.4166 0.8334 0.4166  2 Tc 2.03
15 O 0.4166 0.8334 0.8334  2 Tc 2.03
16 O 0.5834 0.1666 0.1666  2 Tc 2.03
17 O 0.5834 0.1666 0.5834  2 Tc 2.03
18 O 0.5834 0.5834 0.1666  2 Tc 2.03
19 O 0.8334 0.4166 0.4166  2 Tc 2.03
20 O 0.8334 0.4166 0.8334  2 Tc 2.03
21 O 0.8334 0.8334 0.4166  2 Tc 2.03
22 O 0.8750 0.8750 0.8750  4 Sm 2.24